Record 1
{"formula": "Ag16HgAs4S15", "functional": "GGA-PBE", "state": "optimized geometry", "final_energy_ev_per_cell": -518.33, "crystal_system": "monoclinic", "magmom_total_mub_per_fu": 0.00, "e_form_ev_per_atom": -0.301, "cell": [[-13.2140, -7.6547, 0.1451], [-13.2140, 7.6547, 0.1451], [0.0391, 0.0000, -15.9571]], "species": ["Ag", "Ag", "Ag", "Ag", "Ag", "Ag", "Ag", "Ag", "Ag", "Ag", "Ag", "Ag", "Ag", "Ag", "Ag", "Ag", "Ag", "Ag", "Ag", "Ag", "Ag", "Ag", "Ag", "Ag", "Ag", "Ag", "Ag", "Ag", "Ag", "Ag", "Ag", "Ag", "Ag", "Ag", "Ag", "Ag", "Ag", "Ag", "Ag", "Ag", "Ag", "Ag", "Ag", "Ag", "Ag", "Ag", "Ag", "Ag", "Ag", "Ag", "Ag", "Ag", "Ag", "Ag", "Ag", "Ag", "Ag", "Ag", "Ag", "Ag", "Ag", "Ag", "Ag", "Ag", "Hg", "Hg", "Hg", "Hg", "As", "As", "As", "As", "As", "As", "As", "As", "As", "As", "As", "As", "As", "As", "As", "As", "S", "S", "S", "S", "S", "S", "S", "S", "S", "S", "S", "S", "S", "S", "S", "S", "S", "S", "S", "S", "S", "S", "S", "S", "S", "S", "S", "S", "S", "S", "S", "S", "S", "S", "S", "S", "S", "S", "S", "S", "S", "S", "S", "S", "S", "S", "S", "S", "S", "S", "S", "S", "S", "S", "S", "S", "S", "S", "S", "S"], "frac_coords": [[0.4866, 0.9491, 0.5860], [0.0509, 0.5134, 0.4140], [0.6808, 0.9821, 0.5886], [0.0179, 0.3192, 0.4114], [0.2030, 0.9510, 0.5875], [0.0490, 0.7970, 0.4125], [0.0927, 0.6453, 0.7855], [0.3547, 0.9073, 0.2145], [0.5820, 0.6499, 0.8040], [0.3501, 0.4180, 0.1960], [0.6189, 0.0168, 0.0017], [0.9832, 0.3811, 0.9983], [0.3787, 0.1501, 0.8017], [0.8499, 0.6213, 0.1983], [0.8010, 0.7916, 0.4016], [0.2084, 0.1990, 0.5984], [0.0790, 0.1532, 0.8073], [0.8468, 0.9210, 0.1927], [0.1144, 0.7548, 0.9990], [0.2452, 0.8856, 0.0010], [0.0083, 0.9917, 0.0000], [0.6498, 0.1173, 0.2056], [0.8827, 0.3502, 0.7944], [0.1825, 0.7567, 0.5866], [0.2433, 0.8175, 0.4134], [0.4771, 0.8847, 0.0001], [0.1153, 0.5229, 0.9999], [0.3389, 0.6610, 0.0000], [0.6033, 0.2482, 0.9978], [0.7518, 0.3967, 0.0022], [0.5368, 0.0217, 0.4154], [0.9782, 0.4632, 0.5846], [0.3850, 0.6485, 0.8073], [0.3515, 0.6150, 0.1927], [0.7074, 0.7931, 0.9988], [0.2069, 0.2926, 0.0012], [0.6831, 0.2611, 0.5864], [0.7389, 0.3169, 0.4136], [0.8537, 0.1156, 0.2012], [0.8844, 0.1463, 0.7988], [0.5547, 0.2926, 0.4145], [0.7074, 0.4453, 0.5855], [0.3858, 0.3430, 0.8033], [0.6570, 0.6142, 0.1967], [0.5268, 0.8286, 0.4147], [0.1714, 0.4732, 0.5853], [0.3787, 0.8568, 0.7898], [0.1432, 0.6213, 0.2102], [0.8870, 0.8419, 0.8069], [0.1581, 0.1130, 0.1931], [0.9299, 0.9754, 0.5948], [0.0246, 0.0701, 0.4052], [0.4260, 0.4763, 0.5954], [0.5237, 0.5740, 0.4046], [0.3987, 0.1031, 0.9985], [0.8969, 0.6013, 0.0015], [0.5889, 0.1469, 0.7917], [0.8531, 0.4111, 0.2083], [0.6900, 0.7135, 0.5941], [0.2865, 0.3100, 0.4059], [0.8811, 0.6509, 0.8031], [0.3491, 0.1189, 0.1969], [0.5290, 0.4710, 0.0000], [0.8152, 0.1848, 0.0000], [0.8676, 0.8840, 0.0006], [0.1160, 0.1324, 0.9994], [0.3592, 0.3869, 0.0013], [0.6131, 0.6408, 0.9987], [0.4486, 0.7100, 0.5756], [0.2900, 0.5514, 0.4244], [0.4404, 0.2250, 0.5741], [0.7750, 0.5596, 0.4259], [0.7855, 0.0447, 0.4249], [0.9553, 0.2145, 0.5751], [0.6070, 0.8915, 0.7882], [0.1085, 0.3930, 0.2118], [0.1094, 0.3920, 0.7883], [0.6080, 0.8906, 0.2117], [0.1195, 0.8793, 0.7889], [0.1207, 0.8805, 0.2111], [0.6235, 0.3772, 0.2112], [0.6228, 0.3765, 0.7888], [0.2726, 0.0656, 0.4251], [0.9344, 0.7274, 0.5749], [0.6301, 0.1153, 0.3633], [0.8847, 0.3699, 0.6367], [0.0834, 0.9166, 0.5000], [0.5964, 0.1611, 0.6348], [0.8389, 0.4036, 0.3652], [0.5472, 0.2985, 0.1467], [0.7015, 0.4528, 0.8533], [0.8602, 0.8728, 0.6524], [0.1272, 0.1398, 0.3476], [0.1831, 0.4724, 0.8544], [0.5276, 0.8169, 0.1456], [0.6900, 0.7394, 0.8543], [0.2606, 0.3100, 0.1457], [0.2008, 0.9517, 0.8555], [0.0483, 0.7992, 0.1445], [0.3828, 0.8681, 0.6331], [0.1319, 0.6172, 0.3669], [0.9583, 0.4614, 0.8557], [0.5386, 0.0417, 0.1443], [0.3580, 0.6548, 0.6494], [0.3452, 0.6420, 0.3506], [0.6949, 0.2256, 0.8568], [0.7744, 0.3051, 0.1432], [0.9476, 0.2244, 0.9346], [0.7756, 0.0524, 0.0654], [0.4448, 0.7272, 0.9335], [0.2728, 0.5552, 0.0665], [0.1921, 0.2404, 0.8558], [0.7596, 0.8079, 0.1442], [0.4561, 0.9614, 0.8562], [0.0386, 0.5439, 0.1438], [0.6489, 0.8625, 0.4994], [0.1375, 0.3511, 0.5006], [0.3878, 0.1292, 0.6437], [0.8708, 0.6122, 0.3563], [0.3546, 0.3724, 0.6485], [0.6276, 0.6454, 0.3515], [0.5983, 0.6297, 0.6471], [0.3703, 0.4017, 0.3529], [0.8441, 0.1379, 0.3591], [0.8621, 0.1559, 0.6409], [0.5786, 0.4214, 0.5000], [0.0943, 0.6545, 0.6289], [0.3455, 0.9057, 0.3711], [0.3614, 0.1260, 0.3559], [0.8740, 0.6386, 0.6441], [0.4714, 0.4574, 0.8559], [0.5426, 0.5286, 0.1441], [0.6821, 0.9702, 0.8552], [0.0298, 0.3179, 0.1448], [0.9543, 0.7159, 0.9346], [0.2841, 0.0457, 0.0654], [0.1896, 0.7281, 0.8559], [0.2719, 0.8104, 0.1441], [0.8684, 0.8988, 0.3485], [0.1012, 0.1316, 0.6515], [0.4531, 0.2204, 0.9338], [0.7796, 0.5469, 0.0662], [0.9670, 0.9620, 0.8546], [0.0380, 0.0330, 0.1454]]}


Record 2
{"formula": "K3Ag3As2", "functional": "GGA-PBE", "state": "optimized geometry", "final_energy_ev_per_cell": -24.06, "crystal_system": "trigonal", "e_form_ev_per_atom": -0.365, "cell": [[1.2596, 3.0504, -5.1311], [1.2596, -3.0504, -5.1311], [-6.1278, 0.0000, -5.1311]], "species": ["K", "K", "K", "Ag", "Ag", "Ag", "As", "As"], "frac_coords": [[0.0912, 0.0912, 0.7264], [0.9088, 0.9088, 0.2736], [0.5000, 0.5000, 0.5000], [0.5000, 0.0000, 0.0000], [0.5000, 0.5000, 0.0000], [0.0000, 0.5000, 0.0000], [0.7543, 0.7543, 0.7370], [0.2457, 0.2457, 0.2630]]}


Record 3
{"formula": "NaMg4Ag3As4", "functional": "GGA-PBE", "state": "optimized geometry", "final_energy_ev_per_cell": -36.82, "crystal_system": "orthorhombic", "magmom_total_mub_per_fu": 0.00, "e_form_ev_per_atom": -0.163, "cell": [[-3.4919, -3.4919, 0.0000], [0.0000, 0.0000, -5.4617], [6.9173, -6.9173, 0.0000]], "species": ["Na", "Mg", "Mg", "Mg", "Mg", "Ag", "Ag", "Ag", "As", "As", "As", "As"], "frac_coords": [[0.0000, 0.2123, 0.7500], [0.0000, 0.9852, 0.4657], [0.5000, 0.5073, 0.7500], [0.0000, 0.9852, 0.0343], [0.5000, 0.5103, 0.2500], [0.5000, 0.7550, 0.9955], [0.0000, 0.2931, 0.2500], [0.5000, 0.7550, 0.5045], [0.0000, 0.4933, 0.0011], [0.5000, 0.0067, 0.2500], [0.0000, 0.4933, 0.4989], [0.5000, 0.0032, 0.7500]]}


Record 4
{"formula": "MgAg3As2O8", "functional": "GGA-PBE", "state": "optimized geometry", "final_energy_ev_per_cell": -71.65, "crystal_system": "triclinic", "magmom_total_mub_per_fu": 0.98, "polymorph_energy_mev_per_atom": 100.2, "e_form_ev_per_atom": -1.296, "cell": [[6.1946, 0.1721, 0.1606], [0.1803, 6.2302, 0.1524], [0.1619, 0.1499, 6.2415]], "species": ["Mg", "Ag", "Ag", "Ag", "As", "As", "O", "O", "O", "O", "O", "O", "O", "O"], "frac_coords": [[0.8419, 0.8426, 0.8390], [0.3249, 0.5456, 0.0271], [0.5416, 0.0222, 0.3312], [0.0263, 0.3214, 0.5428], [0.0564, 0.0588, 0.0548], [0.5265, 0.5254, 0.5283], [0.1860, 0.8735, 0.8818], [0.2069, 0.2103, 0.2071], [0.3213, 0.4206, 0.6942], [0.4177, 0.6908, 0.3253], [0.6903, 0.3190, 0.4199], [0.6809, 0.6757, 0.6752], [0.8817, 0.1832, 0.8683], [0.8706, 0.8839, 0.1777]]}


Record 5
{"formula": "MgAgAsO5", "functional": "GGA-PBE", "state": "optimized geometry", "final_energy_ev_per_cell": -171.22, "crystal_system": "orthorhombic", "magmom_total_mub_per_fu": 0.00, "e_form_ev_per_atom": -1.551, "cell": [[-0.7688, -6.1192, -0.0163], [1.8922, -0.2172, -7.6928], [8.9270, -1.1275, 2.2276]], "species": ["Mg", "Mg", "Mg", "Mg", "Ag", "Ag", "Ag", "Ag", "As", "As", "As", "As", "O", "O", "O", "O", "O", "O", "O", "O", "O", "O", "O", "O", "O", "O", "O", "O", "O", "O", "O", "O"], "frac_coords": [[0.1073, 0.8216, 0.6833], [0.3927, 0.1784, 0.1833], [0.8927, 0.3216, 0.8167], [0.6073, 0.6784, 0.3167], [0.2416, 0.7516, 0.0090], [0.2584, 0.2484, 0.5090], [0.7584, 0.2516, 0.4910], [0.7416, 0.7484, 0.9910], [0.4400, 0.1085, 0.8514], [0.0600, 0.8915, 0.3514], [0.5600, 0.6085, 0.6486], [0.9400, 0.3915, 0.1486], [0.4936, 0.9341, 0.9705], [0.0064, 0.0659, 0.4705], [0.5064, 0.4341, 0.5295], [0.9936, 0.5659, 0.0295], [0.3631, 0.2531, 0.9765], [0.1369, 0.7469, 0.4765], [0.6369, 0.7531, 0.5235], [0.8631, 0.2469, 0.0235], [0.6646, 0.1574, 0.7534], [0.8354, 0.8426, 0.2534], [0.3354, 0.6574, 0.7466], [0.1646, 0.3426, 0.2466], [0.2314, 0.0571, 0.7363], [0.2686, 0.9429, 0.2363], [0.7686, 0.5571, 0.7637], [0.7314, 0.4429, 0.2637], [0.9937, 0.8568, 0.8907], [0.5063, 0.1432, 0.3907], [0.0063, 0.3568, 0.6093], [0.4937, 0.6432, 0.1093]]}


Record 6
{"formula": "MgAg3As2O8", "functional": "GGA-PBE", "state": "optimized geometry", "final_energy_ev_per_cell": -73.05, "crystal_system": "triclinic", "magmom_total_mub_per_fu": 0.99, "polymorph_energy_mev_per_atom": 0.0, "e_form_ev_per_atom": -1.396, "cell": [[5.7447, 0.1117, 0.2084], [0.1182, 5.7122, 0.1037], [0.1763, 0.0563, 6.7098]], "species": ["Mg", "Ag", "Ag", "Ag", "As", "As", "O", "O", "O", "O", "O", "O", "O", "O"], "frac_coords": [[0.0396, 0.5315, 0.2061], [0.5211, 0.7752, 0.0033], [0.7243, 0.0234, 0.5036], [0.0035, 0.4708, 0.7114], [0.9901, 0.0067, 0.0141], [0.5067, 0.5067, 0.4918], [0.1459, 0.7492, 0.9393], [0.1511, 0.2146, 0.1089], [0.3643, 0.2911, 0.6237], [0.3188, 0.6515, 0.3370], [0.7517, 0.3817, 0.3584], [0.6379, 0.6925, 0.6533], [0.8163, 0.1242, 0.8364], [0.8204, 0.8519, 0.2023]]}


Record 7
{"formula": "Ag2AsS4N", "functional": "GGA-PBE", "state": "optimized geometry", "final_energy_ev_per_cell": -29.83, "crystal_system": "tetragonal", "magmom_total_mub_per_fu": 2.34, "e_form_ev_per_atom": 0.376, "cell": [[-3.2535, 3.2535, 4.3415], [3.2535, -3.2535, 4.3415], [3.2535, 3.2535, -4.3415]], "species": ["Ag", "Ag", "As", "S", "S", "S", "S", "N"], "frac_coords": [[0.7500, 0.2500, 0.5000], [0.2500, 0.7500, 0.5000], [0.0000, 0.0000, 0.0000], [0.0731, 0.0731, 0.4111], [0.6619, 0.6619, 0.5889], [0.3381, 0.9269, 0.0000], [0.9269, 0.3381, 0.0000], [0.5000, 0.5000, 0.0000]]}


Record 8
{"formula": "Ag2As3S6N", "functional": "GGA-PBE", "state": "optimized geometry", "final_energy_ev_per_cell": -192.59, "crystal_system": "monoclinic", "magmom_total_mub_per_fu": 2.96, "e_form_ev_per_atom": 0.106, "cell": [[7.2884, 0.0000, 0.0000], [0.0000, 9.7546, 0.0000], [0.0000, 9.3389, 16.8952]], "species": ["Ag", "Ag", "Ag", "Ag", "Ag", "Ag", "Ag", "Ag", "As", "As", "As", "As", "As", "As", "As", "As", "As", "As", "As", "As", "S", "S", "S", "S", "S", "S", "S", "S", "S", "S", "S", "S", "S", "S", "S", "S", "S", "S", "S", "S", "S", "S", "S", "S", "N", "N", "N", "N"], "frac_coords": [[0.9807, 0.1582, 0.0010], [0.5193, 0.1582, 0.5010], [0.0193, 0.8418, 0.9990], [0.4807, 0.8418, 0.4990], [0.4647, 0.1249, 0.8998], [0.0353, 0.1249, 0.3998], [0.5353, 0.8751, 0.1002], [0.9647, 0.8751, 0.6002], [0.4006, 0.4526, 0.9152], [0.0994, 0.4526, 0.4152], [0.5994, 0.5474, 0.0848], [0.9006, 0.5474, 0.5848], [0.3840, 0.7058, 0.7208], [0.1160, 0.7058, 0.2208], [0.6160, 0.2942, 0.2792], [0.8840, 0.2942, 0.7792], [0.3462, 0.8324, 0.8524], [0.1538, 0.8324, 0.3524], [0.6538, 0.1676, 0.1476], [0.8462, 0.1676, 0.6476], [0.3127, 0.2041, 0.0026], [0.1873, 0.2041, 0.5026], [0.6873, 0.7959, 0.9974], [0.8127, 0.7959, 0.4974], [0.2511, 0.7348, 0.6095], [0.2489, 0.7348, 0.1095], [0.7489, 0.2652, 0.3905], [0.7511, 0.2652, 0.8905], [0.1957, 0.0084, 0.8729], [0.3043, 0.0084, 0.3729], [0.8043, 0.9916, 0.1271], [0.6957, 0.9916, 0.6271], [0.2427, 0.4712, 0.8081], [0.2573, 0.4712, 0.3081], [0.7573, 0.5288, 0.1919], [0.7427, 0.5288, 0.6919], [0.1954, 0.8809, 0.7353], [0.3046, 0.8809, 0.2353], [0.8046, 0.1191, 0.2647], [0.6954, 0.1191, 0.7647], [0.2127, 0.6059, 0.9496], [0.2873, 0.6059, 0.4496], [0.7873, 0.3941, 0.0504], [0.7127, 0.3941, 0.5504], [0.6930, 0.6772, 0.3350], [0.8070, 0.6772, 0.8350], [0.3070, 0.3228, 0.6650], [0.1930, 0.3228, 0.1650]]}


Record 9
{"formula": "Na2AgAs", "functional": "GGA-PBE", "state": "optimized geometry", "final_energy_ev_per_cell": -23.33, "crystal_system": "orthorhombic", "e_form_ev_per_atom": -0.382, "cell": [[3.7078, -4.4530, 0.0000], [3.7078, 4.4530, 0.0000], [0.0000, 0.0000, 5.7062]], "species": ["Na", "Na", "Na", "Na", "Ag", "Ag", "As", "As"], "frac_coords": [[0.0308, 0.6750, 0.2500], [0.9692, 0.3250, 0.7500], [0.6750, 0.0308, 0.2500], [0.3250, 0.9692, 0.7500], [0.5000, 0.5000, 0.5000], [0.5000, 0.5000, 0.0000], [0.7880, 0.7880, 0.7500], [0.2120, 0.2120, 0.2500]]}


Record 10
{"formula": "NdAgAs2", "functional": "GGA-PBE", "state": "optimized geometry", "final_energy_ev_per_cell": -39.99, "crystal_system": "tetragonal", "e_form_ev_per_atom": -0.769, "cell": [[-1.1905, 3.1669, 2.2551], [0.1921, -2.3076, 3.3421], [10.1803, 2.8449, 1.3790]], "species": ["Nd", "Nd", "Ag", "Ag", "As", "As", "As", "As"], "frac_coords": [[0.0000, 0.5000, 0.2706], [0.5000, 0.0000, 0.7294], [0.5000, 0.5000, 0.0000], [0.0000, 0.0000, 0.0000], [0.0000, 0.5000, 0.8212], [0.5000, 0.0000, 0.1788], [0.5000, 0.5000, 0.5000], [0.0000, 0.0000, 0.5000]]}


Record 11
{"formula": "NdAgAs2", "functional": "GGA-PBE", "state": "optimized geometry", "final_energy_ev_per_cell": -80.06, "crystal_system": "orthorhombic", "e_form_ev_per_atom": -0.774, "cell": [[-1.9749, -2.4253, -2.6145], [-1.6439, -2.0540, 3.1471], [-16.5492, 13.3806, 0.0885]], "species": ["Nd", "Nd", "Nd", "Nd", "Ag", "Ag", "Ag", "Ag", "As", "As", "As", "As", "As", "As", "As", "As"], "frac_coords": [[0.2500, 0.7273, 0.1155], [0.7500, 0.2273, 0.3845], [0.2500, 0.7727, 0.6155], [0.7500, 0.2727, 0.8845], [0.7500, 0.7261, 0.2499], [0.2500, 0.2261, 0.2501], [0.7500, 0.7739, 0.7499], [0.2500, 0.2739, 0.7501], [0.7500, 0.2265, 0.1603], [0.2500, 0.7265, 0.3397], [0.7500, 0.2735, 0.6603], [0.2500, 0.7735, 0.8397], [0.2500, 0.2041, 0.0015], [0.7500, 0.7041, 0.4985], [0.2500, 0.2959, 0.5015], [0.7500, 0.7959, 0.9985]]}


Record 12
{"formula": "AgAsO2", "functional": "GGA-PBE", "state": "optimized geometry", "final_energy_ev_per_cell": -41.33, "crystal_system": "monoclinic", "magmom_total_mub_per_fu": 0.00, "e_form_ev_per_atom": -1.163, "cell": [[2.2989, 4.7509, 0.0000], [-2.2989, 4.7509, 0.0000], [0.0000, 2.5035, 6.4460]], "species": ["Ag", "Ag", "As", "As", "O", "O", "O", "O"], "frac_coords": [[0.5976, 0.6358, 0.1718], [0.3641, 0.4024, 0.8282], [0.5897, 0.7411, 0.6678], [0.2589, 0.4103, 0.3322], [0.7512, 0.7969, 0.8198], [0.2031, 0.2488, 0.1802], [0.2539, 0.1717, 0.5969], [0.8283, 0.7461, 0.4031]]}